Cs5Tl11Cd2 | PBE-GGA | optimized geometry

Summary:
- total DFT energy (no corrections) (eV per atom) = -1.913
- space-group type = Amm2 (38)

Cell lengths 11.518, 11.518, 5.896 Å; angles 90.00, 90.00, 107.55 degrees
Element x y z (fractional)
Tl1 0.430 0.430 0.000
Tl2 0.795 0.987 0.500
Tl3 0.977 0.287 0.500
Tl4 0.284 0.284 0.500
Tl5 0.843 0.147 0.000
Tl6 0.338 0.138 0.000
Tl7 0.837 0.837 0.000
Tl8 0.147 0.843 0.000
Tl9 0.138 0.338 0.000
Tl10 0.987 0.795 0.500
Tl11 0.287 0.977 0.500
Cd1 0.063 0.063 0.750
Cd2 0.063 0.063 0.250
Cs1 0.895 0.514 0.000
Cs2 0.514 0.895 0.000
Cs3 0.631 0.631 0.500
Cs4 0.227 0.608 0.500
Cs5 0.608 0.227 0.500

***

CdCu2 | PBE-GGA | optimized geometry

Summary:
- total DFT energy (no corrections) (eV per atom) = -3.033
- space-group type = P6_3/mmc (194)

Cell lengths 5.046, 5.046, 16.176 Å; angles 90.00, 90.00, 120.00 degrees
Element x y z (fractional)
Cd1 0.333 0.667 0.656
Cd2 0.000 0.000 0.094
Cd3 0.667 0.333 0.344
Cd4 0.000 0.000 0.406
Cd5 0.667 0.333 0.156
Cd6 0.000 0.000 0.906
Cd7 0.000 0.000 0.594
Cd8 0.333 0.667 0.844
Cu1 0.500 0.500 0.000
Cu2 0.836 0.164 0.750
Cu3 0.164 0.836 0.250
Cu4 0.836 0.671 0.750
Cu5 0.000 0.500 0.000
Cu6 0.667 0.333 0.625
Cu7 0.000 0.500 0.500
Cu8 0.500 0.500 0.500
Cu9 0.329 0.164 0.750
Cu10 0.671 0.836 0.250
Cu11 0.333 0.667 0.375
Cu12 0.333 0.667 0.125
Cu13 0.667 0.333 0.875
Cu14 0.500 0.000 0.500
Cu15 0.500 0.000 0.000
Cu16 0.164 0.329 0.250

***

CdCu3 | PBE-GGA | optimized geometry

Summary:
- total DFT energy (no corrections) (eV per atom) = -3.225
- space-group type = Pm-3m (221)

Cell lengths 3.826, 3.826, 3.826 Å; angles 90.00, 90.00, 90.00 degrees
Element x y z (fractional)
Cu1 0.000 0.500 0.500
Cu2 0.500 0.500 0.000
Cu3 0.500 0.000 0.500
Cd1 0.000 0.000 0.000

***

CdCu2 | PBE-GGA | optimized geometry

Summary:
- total DFT energy (no corrections) (eV per atom) = -3.023
- space-group type = P6_3/mmc (194)

Cell lengths 5.067, 5.067, 8.016 Å; angles 90.00, 90.00, 120.00 degrees
Element x y z (fractional)
Cu1 0.831 0.662 0.750
Cu2 0.000 0.000 0.500
Cu3 0.169 0.831 0.250
Cu4 0.662 0.831 0.250
Cu5 0.831 0.169 0.750
Cu6 0.338 0.169 0.750
Cu7 0.169 0.338 0.250
Cu8 0.000 0.000 0.000
Cd1 0.667 0.333 0.062
Cd2 0.333 0.667 0.938
Cd3 0.667 0.333 0.438
Cd4 0.333 0.667 0.562

***

DyCdCu | PBE-GGA | optimized geometry

Summary:
- total DFT energy (no corrections) (eV per atom) = -3.501
- space-group type = P-62m (189)

Cell lengths 3.889, 7.541, 7.541 Å; angles 120.00, 90.00, 90.00 degrees
Element x y z (fractional)
Cu1 0.000 0.333 0.667
Cu2 0.500 0.000 0.000
Cu3 0.000 0.667 0.333
Cd1 0.000 0.000 0.252
Cd2 0.000 0.748 0.748
Cd3 0.000 0.252 0.000
Dy1 0.500 0.000 0.588
Dy2 0.500 0.588 0.000
Dy3 0.500 0.412 0.412

***

ErCdCu4 | PBE-GGA | optimized geometry

Summary:
- total DFT energy (no corrections) (eV per atom) = -3.898
- space-group type = F-43m (216)

Cell lengths 5.081, 5.081, 5.081 Å; angles 60.00, 60.00, 60.00 degrees
Element x y z (fractional)
Cu1 0.374 0.374 0.877
Cu2 0.374 0.374 0.374
Cu3 0.374 0.877 0.374
Cu4 0.877 0.374 0.374
Er1 0.750 0.750 0.750
Cd1 0.000 0.000 0.000

***

Er2CdCu2 | PBE-GGA | optimized geometry

Summary:
- total DFT energy (no corrections) (eV per atom) = -3.953
- space-group type = P4/mbm (127)

Cell lengths 7.564, 7.564, 3.617 Å; angles 90.00, 90.00, 90.00 degrees
Element x y z (fractional)
Cu1 0.383 0.117 0.000
Cu2 0.117 0.617 0.000
Cu3 0.883 0.383 0.000
Cu4 0.617 0.883 0.000
Cd1 0.000 0.000 0.000
Cd2 0.500 0.500 0.000
Er1 0.677 0.177 0.500
Er2 0.823 0.677 0.500
Er3 0.323 0.823 0.500
Er4 0.177 0.323 0.500

***

CdFe4Cu10Sn5Se20 | PBE-GGA | optimized geometry

Summary:
- total DFT energy (no corrections) (eV per atom) = -4.414
- space-group type = C2 (5)
- energy above the lowest structure with this stoichiometry (meV per atom) = 2.8

Cell lengths 7.013, 7.013, 25.887 Å; angles 89.16, 89.16, 48.80 degrees
Element x y z (fractional)
Se1 0.432 0.891 0.527
Se2 0.476 0.017 0.381
Se3 0.109 0.568 0.473
Se4 0.182 0.723 0.819
Se5 0.810 0.317 0.920
Se6 0.309 0.768 0.673
Se7 0.683 0.190 0.080
Se8 0.028 0.492 0.128
Se9 0.983 0.524 0.619
Se10 0.581 0.123 0.220
Se11 0.423 0.909 0.022
Se12 0.877 0.419 0.780
Se13 0.277 0.818 0.181
Se14 0.091 0.577 0.978
Se15 0.508 0.972 0.872
Se16 0.232 0.691 0.327
Se17 0.676 0.218 0.581
Se18 0.909 0.369 0.273
Se19 0.782 0.324 0.419
Se20 0.631 0.091 0.727
Fe1 0.200 0.201 0.200
Fe2 0.799 0.800 0.800
Fe3 0.600 0.600 0.600
Fe4 0.400 0.400 0.400
Cu1 0.700 0.700 0.450
Cu2 0.696 0.706 0.948
Cu3 0.294 0.304 0.052
Cu4 0.100 0.100 0.350
Cu5 0.106 0.096 0.848
Cu6 0.904 0.894 0.152
Cu7 0.500 0.500 0.750
Cu8 0.500 0.500 0.250
Cu9 0.300 0.300 0.550
Cu10 0.900 0.900 0.650
Sn1 0.398 0.397 0.898
Sn2 0.603 0.602 0.102
Sn3 0.200 0.200 0.700
Sn4 0.800 0.800 0.300
Sn5 0.000 0.000 0.500
Cd1 0.000 0.000 0.000

***

CdFe4Cu10Sn5Se20 | PBE-GGA | optimized geometry

Summary:
- total DFT energy (no corrections) (eV per atom) = -4.417
- space-group type = I-4 (82)
- energy above the lowest structure with this stoichiometry (meV per atom) = 0.0

Cell lengths 10.791, 10.791, 10.791 Å; angles 106.19, 106.19, 116.25 degrees
Element x y z (fractional)
Se1 0.313 0.528 0.107
Se2 0.021 0.407 0.692
Se3 0.906 0.703 0.898
Se4 0.715 0.329 0.308
Se5 0.805 0.008 0.102
Se6 0.794 0.687 0.215
Se7 0.513 0.928 0.707
Se8 0.472 0.580 0.785
Se9 0.220 0.805 0.293
Se10 0.593 0.285 0.613
Se11 0.072 0.780 0.585
Se12 0.992 0.094 0.797
Se13 0.671 0.979 0.387
Se14 0.297 0.195 0.203
Se15 0.195 0.487 0.415
Se16 0.114 0.129 0.506
Se17 0.420 0.206 0.893
Se18 0.622 0.608 0.494
Se19 0.871 0.378 0.986
Se20 0.392 0.886 0.014
Cu1 0.546 0.848 0.897
Cu2 0.750 0.250 0.500
Cu3 0.950 0.648 0.103
Cu4 0.152 0.050 0.698
Cu5 0.352 0.454 0.302
Cu6 0.646 0.547 0.697
Cu7 0.051 0.354 0.901
Cu8 0.453 0.150 0.099
Cu9 0.850 0.949 0.303
Cu10 0.250 0.750 0.500
Sn1 0.301 0.099 0.402
Sn2 0.697 0.898 0.598
Sn3 0.102 0.699 0.798
Sn4 0.500 0.500 0.000
Sn5 0.901 0.303 0.202
Fe1 0.600 0.200 0.800
Fe2 0.200 0.400 0.600
Fe3 0.399 0.800 0.200
Fe4 0.800 0.601 0.400
Cd1 0.000 0.000 0.000

***

Cd2GaCuTe4 | PBE-GGA | optimized geometry

Summary:
- total DFT energy (no corrections) (eV per atom) = -3.042
- space-group type = I-42m (121)

Cell lengths 7.778, 7.778, 7.778 Å; angles 131.90, 131.90, 70.38 degrees
Element x y z (fractional)
Cd1 0.750 0.250 0.500
Cd2 0.250 0.750 0.500
Cu1 0.000 0.000 0.000
Ga1 0.500 0.500 0.000
Te1 0.642 0.642 0.507
Te2 0.135 0.135 0.493
Te3 0.358 0.865 0.000
Te4 0.865 0.358 0.000

***

MnCdCu4Ge2Se8 | PBE-GGA | optimized geometry

Summary:
- total DFT energy (no corrections) (eV per atom) = -4.291
- space-group type = Pm (6)

Cell lengths 6.637, 6.916, 8.136 Å; angles 90.00, 90.00, 90.22 degrees
Element x y z (fractional)
Cu1 0.304 0.825 0.248
Cu2 0.304 0.825 0.752
Cu3 0.801 0.177 0.248
Cu4 0.801 0.177 0.752
Se1 0.920 0.339 0.000
Se2 0.438 0.683 0.000
Se3 0.941 0.298 0.500
Se4 0.939 0.851 0.234
Se5 0.435 0.158 0.745
Se6 0.401 0.663 0.500
Se7 0.435 0.158 0.255
Se8 0.939 0.851 0.766
Ge1 0.807 0.673 0.000
Ge2 0.308 0.323 0.500
Cd1 0.804 0.660 0.500
Mn1 0.303 0.340 0.000

***

CdCu2GeTe4 | PBE-GGA | optimized geometry

Summary:
- total DFT energy (no corrections) (eV per atom) = -3.472
- space-group type = I-42m (121)

Cell lengths 7.526, 7.526, 7.526 Å; angles 131.21, 131.21, 71.48 degrees
Element x y z (fractional)
Te1 0.125 0.125 0.527
Te2 0.599 0.599 0.473
Te3 0.401 0.875 0.000
Te4 0.875 0.401 0.000
Cu1 0.250 0.750 0.500
Cu2 0.750 0.250 0.500
Ge1 0.500 0.500 0.000
Cd1 0.000 0.000 0.000

***

CdCu4H14S2O18 | PBE-GGA | optimized geometry

Summary:
- total DFT energy (no corrections) (eV per atom) = -5.171
- space-group type = P2_1/m (11)

Cell lengths 22.329, 5.612, 6.200 Å; angles 88.07, 90.00, 90.00 degrees
Element x y z (fractional)
O1 0.536 0.824 0.001
O2 0.150 0.500 0.026
O3 0.350 0.500 0.026
O4 0.825 0.339 0.620
O5 0.169 0.094 0.610
O6 0.457 0.606 0.747
O7 0.543 0.394 0.253
O8 0.957 0.394 0.253
O9 0.073 0.689 0.241
O10 0.250 0.182 0.182
O11 0.964 0.824 0.001
O12 0.043 0.606 0.747
O13 0.325 0.661 0.380
O14 0.175 0.661 0.380
O15 0.850 0.500 0.974
O16 0.750 0.435 0.206
O17 0.848 0.068 0.926
O18 0.152 0.932 0.074
O19 0.650 0.500 0.974
O20 0.652 0.068 0.926
O21 0.831 0.906 0.390
O22 0.750 0.818 0.818
O23 0.675 0.339 0.620
O24 0.573 0.311 0.759
O25 0.250 0.565 0.794
O26 0.036 0.176 0.999
O27 0.962 0.826 0.495
O28 0.331 0.094 0.610
O29 0.462 0.174 0.505
O30 0.348 0.932 0.074
O31 0.427 0.689 0.241
O32 0.538 0.826 0.495
O33 0.464 0.176 0.999
O34 0.927 0.311 0.759
O35 0.038 0.174 0.505
O36 0.669 0.906 0.390
H1 0.214 0.084 0.150
H2 0.420 0.179 0.006
H3 0.920 0.821 0.994
H4 0.418 0.176 0.519
H5 0.214 0.532 0.887
H6 0.918 0.824 0.481
H7 0.086 0.565 0.762
H8 0.826 0.058 0.467
H9 0.414 0.565 0.762
H10 0.174 0.942 0.533
H11 0.831 0.956 0.236
H12 0.714 0.468 0.113
H13 0.331 0.044 0.764
H14 0.674 0.058 0.467
H15 0.286 0.532 0.887
H16 0.286 0.084 0.150
H17 0.669 0.956 0.236
H18 0.914 0.435 0.238
H19 0.580 0.821 0.994
H20 0.169 0.044 0.764
H21 0.786 0.468 0.113
H22 0.714 0.916 0.850
H23 0.080 0.179 0.006
H24 0.582 0.824 0.481
H25 0.326 0.942 0.533
H26 0.082 0.176 0.519
H27 0.786 0.916 0.850
H28 0.586 0.435 0.238
S1 0.138 0.694 0.178
S2 0.862 0.306 0.822
S3 0.638 0.306 0.822
S4 0.362 0.694 0.178
Cu1 0.000 0.500 0.500
Cu2 0.000 0.500 0.000
Cu3 0.500 0.500 0.500
Cu4 0.500 0.500 0.000
Cu5 0.001 0.000 0.251
Cu6 0.499 0.000 0.251
Cu7 0.501 0.000 0.749
Cu8 0.999 0.000 0.749
Cd1 0.250 0.385 0.482
Cd2 0.750 0.615 0.518

***

HoCdCu4 | PBE-GGA | optimized geometry

Summary:
- total DFT energy (no corrections) (eV per atom) = -3.898
- space-group type = F-43m (216)

Cell lengths 5.090, 5.090, 5.090 Å; angles 60.00, 60.00, 60.00 degrees
Element x y z (fractional)
Cu1 0.374 0.877 0.374
Cu2 0.877 0.374 0.374
Cu3 0.374 0.374 0.374
Cu4 0.374 0.374 0.877
Ho1 0.750 0.750 0.750
Cd1 0.000 0.000 0.000

***

Cd2InCuSe4 | PBE-GGA | optimized geometry

Summary:
- total DFT energy (no corrections) (eV per atom) = -3.330
- space-group type = Cm (8)

Cell lengths 8.195, 8.195, 7.404 Å; angles 63.22, 63.22, 30.19 degrees
Element x y z (fractional)
Se1 0.074 0.074 0.258
Se2 0.306 0.306 0.338
Se3 0.563 0.563 0.770
Se4 0.805 0.805 0.883
Cd1 0.501 0.501 0.176
Cd2 0.995 0.995 0.659
In1 0.753 0.753 0.591
Cu1 0.250 0.250 0.074

***

K2Cd2CuS2O2 | PBE-GGA | optimized geometry

Summary:
- total DFT energy (no corrections) (eV per atom) = -3.571
- space-group type = I4/mmm (139)

Cell lengths 4.161, 4.161, 12.448 Å; angles 99.62, 99.62, 90.00 degrees
Element x y z (fractional)
S1 0.182 0.182 0.365
S2 0.818 0.818 0.635
Cd1 0.250 0.750 0.500
Cd2 0.750 0.250 0.500
K1 0.431 0.431 0.863
K2 0.569 0.569 0.137
Cu1 0.000 0.000 0.000
O1 0.000 0.500 0.000
O2 0.500 0.000 0.000